Entry 1:
Below is crystalline Mg4Si3 at its relaxed geometry, with properties calculated at the GGA-PBE level.

Computed properties:
Volume: 18.8 Å³ per atom
Energy relative to the lowest polymorph listed for this composition: 72 meV per atom

Unit cell a=5.4130 b=6.4273 c=8.0492 alpha=72.38 beta=83.13 gamma=82.65
Fractional coordinates of all 14 atoms:
Mg 0.7931 0.2464 0.2581
Mg 0.5729 0.0601 0.0016
Mg 0.1431 0.4302 0.4565
Mg 0.5997 0.4434 0.6080
Mg 0.6637 0.6131 0.9045
Mg 0.3002 0.9428 0.3950
Mg 0.8775 0.0047 0.6595
Mg 0.0772 0.7904 0.0858
Si 0.5505 0.6436 0.2381
Si 0.2676 0.3651 0.1059
Si 0.0361 0.2388 0.8869
Si 0.8138 0.8084 0.4056
Si 0.1935 0.6260 0.7813
Si 0.3610 0.0372 0.7133

=====

Entry 2:
Below is crystalline Mg4Si7 at its relaxed geometry, with properties calculated at the GGA-PBE level.

Computed properties:
Volume: 18.0 Å³ per atom
Energy relative to the lowest polymorph listed for this composition: 46 meV per atom

Unit cell a=14.9658 b=14.9658 c=6.7415 alpha=87.98 beta=87.98 gamma=15.22
Fractional coordinates of all 22 atoms:
Mg 0.9037 0.9037 0.9413
Mg 0.6952 0.6952 0.6606
Mg 0.1183 0.1183 0.8260
Mg 0.2697 0.2697 0.4650
Mg 0.8580 0.8580 0.4598
Mg 0.0486 0.0486 0.4307
Mg 0.1534 0.1534 0.3463
Mg 0.2305 0.2305 0.9689
Si 0.4200 0.4200 0.6278
Si 0.4224 0.4224 0.2611
Si 0.9690 0.9690 0.2475
Si 0.9727 0.9727 0.6513
Si 0.7192 0.7192 0.2727
Si 0.6594 0.6594 0.0395
Si 0.5292 0.5292 0.7544
Si 0.3453 0.3453 0.1404
Si 0.7880 0.7880 0.7666
Si 0.0341 0.0341 0.0147
Si 0.6018 0.6018 0.5466
Si 0.3419 0.3419 0.7694
Si 0.7947 0.7947 0.1335
Si 0.5817 0.5817 0.1722

=====

Entry 3:
Below is crystalline Mg3Si4 at its relaxed geometry, with properties calculated at the GGA-PBE level.

Computed properties:
Volume: 18.3 Å³ per atom
Energy relative to the lowest polymorph listed for this composition: 17 meV per atom

Unit cell a=4.3032 b=7.9605 c=7.9657 alpha=70.10 beta=90.00 gamma=90.00
Fractional coordinates of all 14 atoms:
Mg 0.5000 0.8756 0.4684
Mg 0.0000 0.8958 0.1677
Mg 0.0000 0.5231 0.0777
Mg 0.5000 0.2009 0.0710
Mg 0.0000 0.5116 0.4934
Mg 0.5000 0.8817 0.8723
Si 0.5000 0.3353 0.3735
Si 0.0000 0.1754 0.3194
Si 0.0000 0.6939 0.7211
Si 0.5000 0.5314 0.8018
Si 0.5000 0.6642 0.2373
Si 0.5000 0.2884 0.6878
Si 0.0000 0.0050 0.6296
Si 0.0000 0.1643 0.8323

=====

Entry 4:
Below is crystalline Mg3Si4 at its relaxed geometry, with properties calculated at the GGA-PBE level.

Computed properties:
Volume: 18.4 Å³ per atom
Energy relative to the lowest polymorph listed for this composition: 39 meV per atom

Unit cell a=6.5849 b=7.1467 c=11.8102 alpha=102.86 beta=90.00 gamma=107.90
Fractional coordinates of all 28 atoms:
Mg 0.3533 0.8910 0.5413
Mg 0.5990 0.5357 0.6231
Mg 0.2000 0.0350 0.0866
Mg 0.9984 0.2470 0.9019
Mg 0.6481 0.4247 0.2170
Mg 0.5069 0.8175 0.2185
Mg 0.0984 0.5251 0.6611
Mg 0.9140 0.9607 0.6374
Mg 0.7754 0.1823 0.4551
Mg 0.0112 0.8609 0.3000
Mg 0.5285 0.2986 0.9390
Mg 0.3491 0.6682 0.9218
Si 0.6514 0.0564 0.0567
Si 0.8856 0.5687 0.8625
Si 0.1951 0.1919 0.5114
Si 0.9386 0.6088 0.4683
Si 0.0849 0.4877 0.2782
Si 0.2771 0.4521 0.0918
Si 0.6959 0.2475 0.7137
Si 0.5291 0.8854 0.7521
Si 0.4021 0.1361 0.3366
Si 0.3353 0.4579 0.4098
Si 0.7738 0.8633 0.8899
Si 0.0026 0.6124 0.0706
Si 0.6535 0.7376 0.4231
Si 0.8896 0.1388 0.2238
Si 0.3032 0.2671 0.7263
Si 0.1830 0.9351 0.8163

=====

Entry 5:
Below is crystalline Mg4Si3 at its relaxed geometry, with properties calculated at the GGA-PBE level.

Computed properties:
Volume: 19.3 Å³ per atom
Energy relative to the lowest polymorph listed for this composition: 84 meV per atom

Unit cell a=4.9304 b=7.1813 c=7.8477 alpha=94.85 beta=96.35 gamma=100.28
Fractional coordinates of all 14 atoms:
Mg 0.4622 0.1579 0.4751
Mg 0.8084 0.0952 0.8050
Mg 0.6602 0.7797 0.0820
Mg 0.0800 0.5232 0.9384
Mg 0.6473 0.6946 0.6116
Mg 0.0411 0.4133 0.5668
Mg 0.1664 0.7131 0.3147
Mg 0.9846 0.2283 0.1994
Si 0.4699 0.2455 0.0391
Si 0.9209 0.9993 0.4597
Si 0.1838 0.9231 0.9980
Si 0.5235 0.3929 0.7835
Si 0.2090 0.8518 0.6876
Si 0.5925 0.4822 0.2892

=====

Entry 6:
Below is crystalline Mg4Si7 at its relaxed geometry, with properties calculated at the GGA-PBE level.

Computed properties:
Volume: 18.0 Å³ per atom
Energy relative to the lowest polymorph listed for this composition: 46 meV per atom

Unit cell a=3.9143 b=7.0682 c=14.4766 alpha=97.79 beta=90.71 gamma=90.30
Fractional coordinates of all 22 atoms:
Mg 0.9418 0.1172 0.9357
Mg 0.9167 0.2760 0.5036
Mg 0.4035 0.0493 0.3456
Mg 0.4282 0.4940 0.6606
Mg 0.9464 0.5496 0.8422
Mg 0.4657 0.7299 0.1715
Mg 0.4210 0.5727 0.4262
Mg 0.4219 0.9918 0.5850
Si 0.4391 0.4142 0.9710
Si 0.4645 0.7563 0.9556
Si 0.9687 0.8612 0.0590
Si 0.9451 0.4417 0.0821
Si 0.9248 0.6665 0.5654
Si 0.9163 0.8898 0.4545
Si 0.3669 0.3571 0.2092
Si 0.4338 0.8779 0.8092
Si 0.9303 0.2183 0.6983
Si 0.4661 0.0937 0.0900
Si 0.8831 0.3435 0.3138
Si 0.4339 0.2375 0.8090
Si 0.9268 0.8609 0.7122
Si 0.9519 0.7046 0.3039

=====

Entry 7:
Below is crystalline Mg2Si3 at its relaxed geometry, with properties calculated at the GGA-PBE level.

Computed properties:
Volume: 18.4 Å³ per atom
Energy relative to the lowest polymorph listed for this composition: 54 meV per atom

Unit cell a=5.5356 b=5.5356 c=17.3402 alpha=87.07 beta=87.07 gamma=43.79
Fractional coordinates of all 20 atoms:
Mg 0.1390 0.1390 0.9770
Mg 0.3458 0.3458 0.5395
Mg 0.9730 0.9730 0.8120
Mg 0.6109 0.6109 0.6734
Mg 0.6542 0.6542 0.4605
Mg 0.8610 0.8610 0.0230
Mg 0.3891 0.3891 0.3266
Mg 0.0270 0.0270 0.1880
Si 0.2773 0.2773 0.8352
Si 0.9110 0.9110 0.6613
Si 0.6505 0.6505 0.8409
Si 0.3003 0.3003 0.6971
Si 0.9276 0.9276 0.4448
Si 0.5456 0.5456 0.0737
Si 0.6997 0.6997 0.3029
Si 0.7227 0.7227 0.1648
Si 0.0890 0.0890 0.3387
Si 0.3495 0.3495 0.1591
Si 0.4544 0.4544 0.9263
Si 0.0724 0.0724 0.5552

=====

Entry 8:
Below is crystalline Mg2Si3 at its relaxed geometry, with properties calculated at the GGA-PBE level.

Computed properties:
Volume: 19.5 Å³ per atom
Energy relative to the lowest polymorph listed for this composition: 0 meV per atom

Unit cell a=3.6848 b=5.2928 c=20.0728 alpha=88.30 beta=86.26 gamma=89.30
Fractional coordinates of all 20 atoms:
Mg 0.7365 0.0564 0.2181
Mg 0.4405 0.8427 0.7853
Mg 0.2944 0.8342 0.0755
Mg 0.9054 0.0584 0.9293
Mg 0.9615 0.3825 0.7251
Mg 0.2099 0.5529 0.2811
Mg 0.0741 0.5176 0.5671
Mg 0.6522 0.7703 0.4254
Si 0.3509 0.3201 0.0151
Si 0.8573 0.5786 0.9851
Si 0.2648 0.3272 0.1359
Si 0.9207 0.5604 0.8625
Si 0.0361 0.9983 0.6384
Si 0.1947 0.0247 0.3292
Si 0.0985 0.0230 0.5174
Si 0.6065 0.2760 0.4834
Si 0.5332 0.7202 0.6577
Si 0.6809 0.2815 0.3622
Si 0.7489 0.5812 0.1708
Si 0.4328 0.2936 0.8354

=====

Entry 9:
Below is crystalline Mg4Si7 at its relaxed geometry, with properties calculated at the GGA-PBE level.

Computed properties:
Volume: 17.8 Å³ per atom
Energy relative to the lowest polymorph listed for this composition: 38 meV per atom

Unit cell a=3.9561 b=6.8852 c=14.4718 alpha=93.48 beta=96.49 gamma=90.31
Fractional coordinates of all 22 atoms:
Mg 0.9057 0.9804 0.9454
Mg 0.6967 0.6438 0.5031
Mg 0.1109 0.7928 0.3410
Mg 0.2631 0.4818 0.6532
Mg 0.8262 0.4965 0.8271
Mg 0.0395 0.3937 0.1880
Mg 0.1564 0.3056 0.4156
Mg 0.2270 0.9687 0.5780
Si 0.3890 0.6636 0.9562
Si 0.4805 0.1788 0.0693
Si 0.0431 0.3722 0.9931
Si 0.9206 0.6929 0.0734
Si 0.7199 0.2679 0.5542
Si 0.6599 0.0064 0.4348
Si 0.5241 0.7113 0.1946
Si 0.3212 0.1851 0.8104
Si 0.7908 0.7807 0.6956
Si 0.0997 0.0023 0.1645
Si 0.6074 0.4911 0.3185
Si 0.3287 0.8142 0.8060
Si 0.7853 0.1432 0.7064
Si 0.6117 0.1232 0.2750

=====

Entry 10:
Below is crystalline Mg3Si4 at its relaxed geometry, with properties calculated at the GGA-PBE level.

Computed properties:
Volume: 19.6 Å³ per atom
Energy relative to the lowest polymorph listed for this composition: 51 meV per atom

Unit cell a=5.9645 b=6.4964 c=7.9472 alpha=108.89 beta=106.45 gamma=93.96
Fractional coordinates of all 14 atoms:
Mg 0.4260 0.1524 0.4896
Mg 0.0645 0.6142 0.3254
Mg 0.7781 0.6472 0.9416
Mg 0.2624 0.0339 0.0636
Mg 0.9703 0.0422 0.6150
Mg 0.6722 0.1202 0.9119
Si 0.7219 0.2670 0.3157
Si 0.4998 0.5062 0.1640
Si 0.2974 0.7432 0.7403
Si 0.3420 0.4055 0.8042
Si 0.9678 0.0003 0.2536
Si 0.8648 0.5783 0.6100
Si 0.5414 0.7728 0.5410
Si 0.0911 0.3699 0.9775

=====

Entry 11:
Below is crystalline Mg5Si6 at its relaxed geometry, with properties calculated at the GGA-PBE level.

Computed properties:
Volume: 18.2 Å³ per atom
Energy relative to the lowest polymorph listed for this composition: 118 meV per atom

Unit cell a=15.2760 b=15.2760 c=7.0169 alpha=85.45 beta=85.45 gamma=14.20
Fractional coordinates of all 22 atoms:
Mg 0.2106 0.2106 0.9658
Mg 0.4247 0.4247 0.4839
Mg 0.9747 0.9747 0.1762
Mg 0.3285 0.3285 0.9084
Mg 0.7581 0.7581 0.6703
Mg 0.5557 0.5557 0.2465
Mg 0.0044 0.0044 0.5718
Mg 0.8540 0.8540 0.2409
Mg 0.6772 0.6772 0.2997
Mg 0.6409 0.6409 0.8317
Si 0.1223 0.1223 0.1273
Si 0.1909 0.1909 0.5848
Si 0.9283 0.9283 0.8348
Si 0.4120 0.4120 0.0666
Si 0.0541 0.0541 0.9267
Si 0.2526 0.2526 0.3205
Si 0.3196 0.3196 0.5101
Si 0.5690 0.5690 0.6528
Si 0.1127 0.1127 0.4839
Si 0.8629 0.8629 0.6377
Si 0.7682 0.7682 0.0927
Si 0.4920 0.4920 0.8705

=====

Entry 12:
Below is crystalline Mg5Si6 at its relaxed geometry, with properties calculated at the GGA-PBE level.

Computed properties:
Volume: 17.9 Å³ per atom
Energy relative to the lowest polymorph listed for this composition: 74 meV per atom

Unit cell a=13.6725 b=5.2629 c=5.5091 alpha=83.74 beta=90.00 gamma=90.00
Fractional coordinates of all 22 atoms:
Mg 0.9933 0.9813 0.7086
Mg 0.4933 0.0187 0.2914
Mg 0.3509 0.4644 0.4561
Mg 0.6130 0.8225 0.7794
Mg 0.8509 0.5356 0.5439
Mg 0.1920 0.7004 0.0091
Mg 0.3910 0.8456 0.8290
Mg 0.6919 0.2996 0.9909
Mg 0.8910 0.1544 0.1710
Mg 0.1130 0.1775 0.2206
Si 0.0017 0.6955 0.2253
Si 0.0168 0.4689 0.8580
Si 0.5017 0.3045 0.7747
Si 0.5168 0.5311 0.1420
Si 0.1413 0.6030 0.5256
Si 0.7876 0.0434 0.6235
Si 0.6413 0.3970 0.4744
Si 0.1938 0.1576 0.6968
Si 0.2876 0.9566 0.3765
Si 0.8204 0.7115 0.9955
Si 0.6938 0.8424 0.3032
Si 0.3204 0.2885 0.0045

=====

Entry 13:
Below is crystalline Mg2Si3 at its relaxed geometry, with properties calculated at the GGA-PBE level.

Computed properties:
Volume: 18.6 Å³ per atom
Energy relative to the lowest polymorph listed for this composition: 116 meV per atom

Unit cell a=4.5447 b=7.0021 c=11.9045 alpha=88.62 beta=79.63 gamma=88.17
Fractional coordinates of all 20 atoms:
Mg 0.8093 0.3731 0.5934
Mg 0.7533 0.6788 0.0070
Mg 0.2687 0.2046 0.7238
Mg 0.2999 0.6401 0.7601
Mg 0.2467 0.3212 0.9930
Mg 0.1907 0.6269 0.4066
Mg 0.7001 0.3599 0.2399
Mg 0.7313 0.7954 0.2762
Si 0.7448 0.9506 0.7019
Si 0.7885 0.0930 0.8925
Si 0.6325 0.7358 0.5378
Si 0.7835 0.4263 0.8320
Si 0.7058 0.0572 0.1024
Si 0.7997 0.0473 0.4453
Si 0.2115 0.9070 0.1075
Si 0.2552 0.0494 0.2981
Si 0.2165 0.5737 0.1680
Si 0.3675 0.2642 0.4622
Si 0.2003 0.9527 0.5547
Si 0.2942 0.9428 0.8976

=====

Entry 14:
Below is crystalline Mg4Si3 at its relaxed geometry, with properties calculated at the GGA-PBE level.

Computed properties:
Volume: 19.5 Å³ per atom
Energy relative to the lowest polymorph listed for this composition: 97 meV per atom

Unit cell a=6.8255 b=7.2925 c=11.5260 alpha=91.48 beta=95.37 gamma=107.26
Fractional coordinates of all 28 atoms:
Mg 0.6342 0.8759 0.9452
Mg 0.6954 0.4857 0.8718
Mg 0.1349 0.8730 0.4628
Mg 0.1176 0.5818 0.2560
Mg 0.1645 0.8676 0.8628
Mg 0.0269 0.2311 0.8956
Mg 0.5509 0.8486 0.3994
Mg 0.3455 0.2679 0.3557
Mg 0.4113 0.8069 0.6644
Mg 0.3041 0.2336 0.6870
Mg 0.9133 0.9362 0.2237
Mg 0.7625 0.2510 0.3143
Mg 0.9719 0.4798 0.6654
Mg 0.8681 0.9108 0.6606
Mg 0.6154 0.5103 0.1399
Mg 0.3850 0.9581 0.1563
Si 0.6296 0.1739 0.5469
Si 0.2471 0.5249 0.4945
Si 0.4250 0.1953 0.9793
Si 0.9623 0.7184 0.0439
Si 0.3177 0.5531 0.8311
Si 0.6581 0.1467 0.7605
Si 0.7747 0.6146 0.3641
Si 0.1976 0.2795 0.1250
Si 0.6187 0.5412 0.5470
Si 0.0018 0.1909 0.4942
Si 0.2562 0.5968 0.0320
Si 0.7906 0.2033 0.0848

=====

Entry 15:
Below is crystalline Mg4Si3 at its relaxed geometry, with properties calculated at the GGA-PBE level.

Computed properties:
Volume: 19.5 Å³ per atom
Energy relative to the lowest polymorph listed for this composition: 70 meV per atom

Unit cell a=5.4876 b=6.9367 c=8.2263 alpha=108.02 beta=103.94 gamma=103.51
Fractional coordinates of all 14 atoms:
Mg 0.0986 0.2293 0.7357
Mg 0.4637 0.0650 0.0649
Mg 0.9832 0.4359 0.4225
Mg 0.5768 0.4178 0.6124
Mg 0.5826 0.6063 0.1228
Mg 0.3967 0.9043 0.6032
Mg 0.0989 0.0011 0.2973
Mg 0.8553 0.8861 0.8784
Si 0.2886 0.6516 0.7972
Si 0.7190 0.2754 0.9042
Si 0.1424 0.3126 0.1356
Si 0.8413 0.8061 0.5157
Si 0.0647 0.6183 0.0243
Si 0.6384 0.0404 0.3857

=====

no.,energy of formation (eV/atom),size of the total moment (μB per cell)
1,0.0757,0.00
2,0.1922,0.00
3,0.1102,0.00
4,0.1321,0.00
5,0.0877,0.00
6,0.1917,0.00
7,0.1334,0.04
8,0.0793,0.00
9,0.1843,0.00
10,0.1448,0.00
11,0.1832,0.00
12,0.1400,0.00
13,0.1957,0.00
14,0.1008,0.01
15,0.0732,0.00